Entry 1:
! Li5V3CuP4O16 (r²SCAN, optimized geometry); values from VASP
! Calculated volume: 10.23 Å³ per atom
! ΔH_f (0 K): -2.3634 eV/atom
! Energy: -265.16 eV/f.u.
&SYSTEM
  ibrav = 0, nat = 58, ntyp = 5
/
ATOMIC_SPECIES
Li 6.94 Li.upf
V 50.94 V.upf
Cu 63.55 Cu.upf
P 30.97 P.upf
O 16.00 O.upf
ATOMIC_POSITIONS crystal
Li 0.029 0.296 0.865
Li 0.255 0.517 0.493
Li 0.517 0.255 0.493
Li 0.751 0.502 0.996
Li 0.502 0.751 0.996
Li 0.296 0.029 0.865
Li 0.166 0.166 0.076
Li 0.735 0.993 0.473
Li 0.993 0.735 0.473
Li 0.897 0.897 0.681
V 0.371 0.371 0.227
V 0.864 0.359 0.267
V 0.359 0.864 0.267
V 0.855 0.855 0.217
V 0.139 0.641 0.774
V 0.641 0.139 0.774
Cu 0.213 0.213 0.658
Cu 0.622 0.622 0.716
P 0.083 0.568 0.087
P 0.423 0.423 0.914
P 0.579 0.579 0.405
P 0.072 0.072 0.399
P 0.427 0.916 0.590
P 0.916 0.427 0.590
P 0.568 0.083 0.087
P 0.913 0.913 0.916
O 0.261 0.261 0.914
O 0.075 0.386 0.673
O 0.115 0.395 0.156
O 0.023 0.518 0.948
O 0.484 0.484 0.051
O 0.378 0.586 0.846
O 0.072 0.873 0.838
O 0.586 0.378 0.846
O 0.244 0.724 0.097
O 0.617 0.411 0.335
O 0.411 0.617 0.335
O 0.106 0.902 0.329
O 0.270 0.753 0.595
O 0.753 0.270 0.595
O 0.516 0.516 0.539
O 0.008 0.008 0.535
O 0.985 0.471 0.452
O 0.471 0.985 0.452
O 0.232 0.232 0.397
O 0.740 0.740 0.399
O 0.754 0.754 0.918
O 0.606 0.893 0.651
O 0.386 0.075 0.673
O 0.893 0.606 0.651
O 0.603 0.914 0.158
O 0.395 0.115 0.156
O 0.914 0.603 0.158
O 0.518 0.023 0.948
O 0.976 0.976 0.051
O 0.873 0.072 0.838
O 0.724 0.244 0.097
O 0.902 0.106 0.329
CELL_PARAMETERS angstrom
6.005 4.744 -0.014
-6.005 4.744 -0.014
0.000 0.014 10.415



Entry 2:
! LiCu2P2 (r²SCAN, optimized geometry); values from VASP
! Calculated volume: 14.04 Å³ per atom
! ΔH_f (0 K): -0.3793 eV/atom
! Energy: -43.98 eV/f.u.
&SYSTEM
  ibrav = 0, nat = 5, ntyp = 3
/
ATOMIC_SPECIES
Li 6.94 Li.upf
Cu 63.55 Cu.upf
P 30.97 P.upf
ATOMIC_POSITIONS crystal
Li 0.000 0.000 0.000
Cu 0.250 0.750 0.500
Cu 0.750 0.250 0.500
P 0.613 0.613 0.225
P 0.387 0.387 0.775
CELL_PARAMETERS angstrom
-2.603 1.281 2.532
-1.285 -3.596 0.498
5.054 0.532 1.997



Entry 3:
! LiCuPd2 (r²SCAN, optimized geometry); values from VASP
! Calculated volume: 13.15 Å³ per atom
! ΔH_f (0 K): -0.2848 eV/atom
! Energy: -60.29 eV/f.u.
&SYSTEM
  ibrav = 0, nat = 4, ntyp = 3
/
ATOMIC_SPECIES
Li 6.94 Li.upf
Cu 63.55 Cu.upf
Pd 106.42 Pd.upf
ATOMIC_POSITIONS crystal
Li 0.750 0.750 0.750
Cu 0.250 0.250 0.250
Pd 0.000 0.000 0.000
Pd 0.500 0.500 0.500
CELL_PARAMETERS angstrom
0.422 -2.651 3.237
0.501 1.501 3.896
-3.097 -0.388 2.818



Entry 4:
! Li3CuS2 (r²SCAN, optimized geometry); values from VASP
! Calculated volume: 15.90 Å³ per atom
! ΔH_f (0 K): -1.1924 eV/atom
! Energy: -41.23 eV/f.u.
&SYSTEM
  ibrav = 0, nat = 12, ntyp = 3
/
ATOMIC_SPECIES
Li 6.94 Li.upf
Cu 63.55 Cu.upf
S 32.06 S.upf
ATOMIC_POSITIONS crystal
Li 0.986 0.236 0.750
Li 0.486 0.236 0.250
Li 0.750 0.500 0.250
Li 0.250 0.500 0.750
Li 0.514 0.764 0.750
Li 0.014 0.764 0.250
Cu 0.500 0.000 0.500
Cu 0.000 0.000 0.000
S 0.867 0.139 0.272
S 0.367 0.595 0.228
S 0.633 0.405 0.772
S 0.133 0.861 0.728
CELL_PARAMETERS angstrom
-2.845 2.995 5.599
2.845 -2.995 5.599
2.845 2.995 -5.599



Entry 5:
! LiCu2Si (r²SCAN, optimized geometry); values from VASP
! Calculated volume: 11.61 Å³ per atom
! ΔH_f (0 K): -0.2177 eV/atom
! Energy: -33.72 eV/f.u.
&SYSTEM
  ibrav = 0, nat = 4, ntyp = 3
/
ATOMIC_SPECIES
Li 6.94 Li.upf
Cu 63.55 Cu.upf
Si 28.09 Si.upf
ATOMIC_POSITIONS crystal
Li 0.500 0.500 0.500
Cu 0.250 0.250 0.250
Cu 0.750 0.750 0.750
Si 0.000 0.000 0.000
CELL_PARAMETERS angstrom
-1.785 1.732 3.177
-2.662 -2.083 2.203
0.956 -1.174 3.739



Entry 6:
! LiCu2Sn (r²SCAN, optimized geometry); values from VASP
! Calculated volume: 14.93 Å³ per atom
! ΔH_f (0 K): -0.1912 eV/atom
! Energy: -49.59 eV/f.u.
&SYSTEM
  ibrav = 0, nat = 8, ntyp = 3
/
ATOMIC_SPECIES
Li 6.94 Li.upf
Cu 63.55 Cu.upf
Sn 118.71 Sn.upf
ATOMIC_POSITIONS crystal
Li 0.000 0.000 0.500
Li 0.000 0.000 0.000
Cu 0.667 0.333 0.411
Cu 0.333 0.667 0.911
Cu 0.667 0.333 0.089
Cu 0.333 0.667 0.589
Sn 0.667 0.333 0.750
Sn 0.333 0.667 0.250
CELL_PARAMETERS angstrom
-3.156 1.259 -2.564
1.211 -4.081 0.039
-5.051 -1.447 5.507



Entry 7:
! Li2CuSn2 (r²SCAN, optimized geometry); values from VASP
! Calculated volume: 18.78 Å³ per atom
! ΔH_f (0 K): -0.3352 eV/atom
! Energy: -66.79 eV/f.u.
&SYSTEM
  ibrav = 0, nat = 10, ntyp = 3
/
ATOMIC_SPECIES
Li 6.94 Li.upf
Cu 63.55 Cu.upf
Sn 118.71 Sn.upf
ATOMIC_POSITIONS crystal
Li 0.826 0.826 0.000
Li 0.576 0.076 0.500
Li 0.924 0.424 0.500
Li 0.174 0.174 0.000
Cu 0.750 0.250 0.500
Cu 0.000 0.000 0.000
Sn 0.323 0.323 0.000
Sn 0.073 0.573 0.500
Sn 0.427 0.927 0.500
Sn 0.677 0.677 0.000
CELL_PARAMETERS angstrom
-2.203 2.203 9.670
2.203 -2.203 9.670
2.203 2.203 -9.670



Entry 8:
! LuCu5 (r²SCAN, optimized geometry); values from VASP
! Calculated volume: 13.63 Å³ per atom
! ΔH_f (0 K): -0.2022 eV/atom
! Energy: -93.53 eV/f.u.
&SYSTEM
  ibrav = 0, nat = 6, ntyp = 2
/
ATOMIC_SPECIES
Lu 174.97 Lu.upf
Cu 63.55 Cu.upf
ATOMIC_POSITIONS crystal
Lu 0.000 0.000 0.000
Cu 0.624 0.624 0.127
Cu 0.127 0.624 0.624
Cu 0.250 0.250 0.250
Cu 0.624 0.127 0.624
Cu 0.624 0.624 0.624
CELL_PARAMETERS angstrom
4.220 0.000 2.436
1.406 3.978 2.436
0.000 0.000 4.872



Entry 9:
! LuCu2O4 (r²SCAN, optimized geometry); values from VASP
! Calculated volume: 10.36 Å³ per atom
! ΔH_f (0 K): -1.9647 eV/atom
! Energy: -97.42 eV/f.u.
&SYSTEM
  ibrav = 0, nat = 14, ntyp = 3
/
ATOMIC_SPECIES
Lu 174.97 Lu.upf
Cu 63.55 Cu.upf
O 16.00 O.upf
ATOMIC_POSITIONS crystal
Lu 0.000 0.000 0.000
Lu 0.750 0.250 0.500
Cu 0.875 0.625 0.250
Cu 0.375 0.625 0.750
Cu 0.375 0.125 0.750
Cu 0.375 0.625 0.250
O 0.405 0.255 0.554
O 0.049 0.399 0.054
O 0.005 0.952 0.351
O 0.149 0.595 0.851
O 0.601 0.655 0.649
O 0.745 0.298 0.149
O 0.701 0.851 0.446
O 0.345 0.995 0.946
CELL_PARAMETERS angstrom
-2.769 2.769 4.729
2.770 -2.769 4.729
2.769 2.769 -4.729



Entry 10:
! LuCuPb (r²SCAN, optimized geometry); values from VASP
! Calculated volume: 21.26 Å³ per atom
! ΔH_f (0 K): -0.4370 eV/atom
! Energy: -106.52 eV/f.u.
&SYSTEM
  ibrav = 0, nat = 6, ntyp = 3
/
ATOMIC_SPECIES
Lu 174.97 Lu.upf
Cu 63.55 Cu.upf
Pb 207.20 Pb.upf
ATOMIC_POSITIONS crystal
Lu 0.000 0.000 0.996
Lu 0.000 0.000 0.496
Cu 0.667 0.333 0.333
Cu 0.333 0.667 0.833
Pb 0.333 0.667 0.228
Pb 0.667 0.333 0.728
CELL_PARAMETERS angstrom
2.257 -3.910 0.000
2.257 3.910 0.000
0.000 0.000 7.227



Entry 11:
! Lu2CuRh (r²SCAN, optimized geometry); values from VASP
! Calculated volume: 18.70 Å³ per atom
! ΔH_f (0 K): -0.6879 eV/atom
! Energy: -113.89 eV/f.u.
&SYSTEM
  ibrav = 0, nat = 4, ntyp = 3
/
ATOMIC_SPECIES
Lu 174.97 Lu.upf
Cu 63.55 Cu.upf
Rh 102.91 Rh.upf
ATOMIC_POSITIONS crystal
Lu 0.000 0.000 0.000
Lu 0.500 0.500 0.500
Cu 0.250 0.250 0.250
Rh 0.750 0.750 0.750
CELL_PARAMETERS angstrom
2.199 -1.399 -3.946
2.936 -3.705 0.116
-1.236 -4.062 -2.082



Entry 12:
! LuCu3S3 (r²SCAN, optimized geometry); values from VASP
! Calculated volume: 16.87 Å³ per atom
! ΔH_f (0 K): -0.9902 eV/atom
! Energy: -101.65 eV/f.u.
&SYSTEM
  ibrav = 0, nat = 14, ntyp = 3
/
ATOMIC_SPECIES
Lu 174.97 Lu.upf
Cu 63.55 Cu.upf
S 32.06 S.upf
ATOMIC_POSITIONS crystal
Lu 0.834 0.834 0.834
Lu 0.166 0.166 0.166
Cu 0.285 0.962 0.624
Cu 0.624 0.285 0.962
Cu 0.962 0.624 0.285
Cu 0.038 0.376 0.715
Cu 0.376 0.715 0.038
Cu 0.715 0.038 0.376
S 0.083 0.752 0.419
S 0.752 0.419 0.083
S 0.419 0.083 0.752
S 0.581 0.917 0.248
S 0.248 0.581 0.917
S 0.917 0.248 0.581
CELL_PARAMETERS angstrom
6.539 -3.301 0.006
6.539 3.301 0.006
4.868 0.000 5.474



Entry 13:
! LuScCu2 (r²SCAN, optimized geometry); values from VASP
! Calculated volume: 17.98 Å³ per atom
! ΔH_f (0 K): -0.2803 eV/atom
! Energy: -72.29 eV/f.u.
&SYSTEM
  ibrav = 0, nat = 4, ntyp = 3
/
ATOMIC_SPECIES
Lu 174.97 Lu.upf
Sc 44.96 Sc.upf
Cu 63.55 Cu.upf
ATOMIC_POSITIONS crystal
Lu 0.500 0.500 0.500
Sc 0.000 0.000 0.000
Cu 0.750 0.750 0.750
Cu 0.250 0.250 0.250
CELL_PARAMETERS angstrom
0.498 -4.641 -0.043
-3.476 -2.734 1.495
-2.418 -2.578 -3.049



Entry 14:
! LuCuSe2 (r²SCAN, optimized geometry); values from VASP
! Calculated volume: 22.15 Å³ per atom
! ΔH_f (0 K): -1.3850 eV/atom
! Energy: -83.09 eV/f.u.
&SYSTEM
  ibrav = 0, nat = 4, ntyp = 3
/
ATOMIC_SPECIES
Lu 174.97 Lu.upf
Cu 63.55 Cu.upf
Se 78.96 Se.upf
ATOMIC_POSITIONS crystal
Lu 0.000 0.000 0.799
Cu 0.667 0.333 0.189
Se 0.333 0.667 0.065
Se 0.667 0.333 0.567
CELL_PARAMETERS angstrom
-3.018 -1.769 1.966
2.981 -2.218 -1.515
3.208 0.587 5.453



Entry 15:
! LuCu2Si2 (r²SCAN, optimized geometry); values from VASP
! Calculated volume: 15.01 Å³ per atom
! ΔH_f (0 K): -0.5831 eV/atom
! Energy: -80.24 eV/f.u.
&SYSTEM
  ibrav = 0, nat = 5, ntyp = 3
/
ATOMIC_SPECIES
Lu 174.97 Lu.upf
Cu 63.55 Cu.upf
Si 28.09 Si.upf
ATOMIC_POSITIONS crystal
Lu 0.000 0.000 0.000
Cu 0.250 0.750 0.500
Cu 0.750 0.250 0.500
Si 0.616 0.616 0.232
Si 0.384 0.384 0.768
CELL_PARAMETERS angstrom
3.649 0.000 -1.328
-0.483 3.617 -1.328
0.002 0.002 5.684



Entry 16:
! LuCuSn (r²SCAN, optimized geometry); values from VASP
! Calculated volume: 20.34 Å³ per atom
! ΔH_f (0 K): -0.6299 eV/atom
! Energy: -75.56 eV/f.u.
&SYSTEM
  ibrav = 0, nat = 6, ntyp = 3
/
ATOMIC_SPECIES
Lu 174.97 Lu.upf
Cu 63.55 Cu.upf
Sn 118.71 Sn.upf
ATOMIC_POSITIONS crystal
Lu 0.000 0.000 0.496
Lu 0.000 0.000 0.996
Cu 0.333 0.667 0.329
Cu 0.667 0.333 0.829
Sn 0.667 0.333 0.227
Sn 0.333 0.667 0.727
CELL_PARAMETERS angstrom
1.727 3.895 -1.285
-1.741 -2.767 -3.020
-6.354 3.091 0.832



Entry 17:
! TmLuCu2 (r²SCAN, optimized geometry); values from VASP
! Calculated volume: 19.15 Å³ per atom
! ΔH_f (0 K): -0.3083 eV/atom
! Energy: -96.13 eV/f.u.
&SYSTEM
  ibrav = 0, nat = 4, ntyp = 3
/
ATOMIC_SPECIES
Tm 168.93 Tm.upf
Lu 174.97 Lu.upf
Cu 63.55 Cu.upf
ATOMIC_POSITIONS crystal
Tm 0.000 0.000 0.000
Lu 0.500 0.500 0.500
Cu 0.750 0.750 0.750
Cu 0.250 0.250 0.250
CELL_PARAMETERS angstrom
0.000 3.371 3.371
3.371 0.000 3.371
3.371 3.371 0.000



Entry 18:
! Lu2ZnCu (r²SCAN, optimized geometry); values from VASP
! Calculated volume: 19.78 Å³ per atom
! ΔH_f (0 K): -0.3518 eV/atom
! Energy: -97.32 eV/f.u.
&SYSTEM
  ibrav = 0, nat = 4, ntyp = 3
/
ATOMIC_SPECIES
Lu 174.97 Lu.upf
Zn 65.41 Zn.upf
Cu 63.55 Cu.upf
ATOMIC_POSITIONS crystal
Lu 0.000 0.000 0.000
Lu 0.500 0.500 0.500
Zn 0.750 0.750 0.750
Cu 0.250 0.250 0.250
CELL_PARAMETERS angstrom
0.000 3.407 3.407
3.407 0.000 3.407
3.407 3.407 0.000



Entry 19:
! MgCu3 (r²SCAN, optimized geometry); values from VASP
! Calculated volume: 12.88 Å³ per atom
! ΔH_f (0 K): -0.0233 eV/atom
! Energy: -36.80 eV/f.u.
&SYSTEM
  ibrav = 0, nat = 4, ntyp = 2
/
ATOMIC_SPECIES
Mg 24.30 Mg.upf
Cu 63.55 Cu.upf
ATOMIC_POSITIONS crystal
Mg 0.000 0.000 0.000
Cu 0.500 0.500 0.000
Cu 0.750 0.250 0.500
Cu 0.250 0.750 0.500
CELL_PARAMETERS angstrom
-1.859 1.859 3.728
1.859 -1.859 3.728
1.859 1.859 -3.728



Entry 20:
! Mg2Cu (r²SCAN, optimized geometry); values from VASP
! Calculated volume: 17.66 Å³ per atom
! ΔH_f (0 K): -0.0875 eV/atom
! Energy: -19.45 eV/f.u.
&SYSTEM
  ibrav = 0, nat = 12, ntyp = 2
/
ATOMIC_SPECIES
Mg 24.30 Mg.upf
Cu 63.55 Cu.upf
ATOMIC_POSITIONS crystal
Mg 0.459 0.709 0.418
Mg 0.291 0.541 0.082
Mg 0.541 0.291 0.582
Mg 0.709 0.459 0.918
Mg 0.291 0.709 0.750
Mg 0.959 0.041 0.750
Mg 0.709 0.291 0.250
Mg 0.041 0.959 0.250
Cu 0.002 0.252 0.503
Cu 0.748 0.998 0.997
Cu 0.998 0.748 0.497
Cu 0.252 0.002 0.003
CELL_PARAMETERS angstrom
0.615 -3.641 -3.621
2.370 -0.532 4.565
-8.736 -2.361 2.770